Mn2HgC10O10 (PBE with a Hubbard U, relaxed); raw total energy = -7.30 eV/atom; theoretical density = 2.56 g/cm3; ΔH_f (0 K) = -765 meV per atom; ΔE to the lowest computed polymorph = 0.005 eV per atom
1.0
5.344 -3.195 -1.398
-4.217 -4.114 -2.455
1.247 5.306 -7.888
O C Hg Mn
10 10 1 2
Direct
0.359 0.258 0.729
0.501 0.738 0.930
0.719 0.399 0.512
0.641 0.742 0.271
0.499 0.262 0.070
0.741 0.931 0.631
0.259 0.069 0.369
0.123 0.585 0.157
0.281 0.601 0.488
0.877 0.415 0.843
0.273 0.088 0.741
0.727 0.912 0.259
0.774 0.314 0.407
0.973 0.571 0.811
0.226 0.686 0.593
0.891 0.888 0.682
0.027 0.429 0.189
0.109 0.112 0.318
0.642 0.232 0.134
0.358 0.768 0.866
0.000 0.000 0.000
0.133 0.815 0.758
0.867 0.185 0.242